1.
HoSb2 | PBE | optimized geometry

```
3
Lattice="1.777 -3.131 0.000 1.777 3.131 0.000 0.000 0.000 7.658" Properties=species:S:1:pos:R:3 pbc="T T T"
Ho 0.000 0.000 0.000
Sb 0.889 1.565 2.464
Sb 0.889 -1.565 5.195
```

## Properties
total magnetization = 0.00 μB/f.u.
space group = C222, No. 21
calculated volume = 85.2 Å³/cell
energy of formation from the pure elements = -0.325 eV per atom

---

2.
BPO4 | PBE | optimized geometry

```
18
Lattice="4.548 0.000 0.000 -2.274 3.939 0.000 0.000 0.000 10.056" Properties=species:S:1:pos:R:3 pbc="T T T"
B -1.069 1.852 1.676
B 2.138 0.000 8.380
B 1.205 2.087 5.028
P -1.067 1.848 6.704
P 2.134 0.000 3.352
P 1.207 2.091 0.000
O -1.052 2.856 2.755
O -1.019 2.899 7.830
O 0.273 1.606 1.126
O 0.326 1.599 6.107
O 1.222 1.082 3.949
O 1.255 1.039 8.930
O 0.746 3.372 4.478
O 0.726 3.422 9.459
O 3.000 0.517 7.301
O 3.020 0.567 2.226
O 2.547 2.332 5.578
O 2.600 2.339 0.597
```

## Properties
total magnetization = 0.00 μB/f.u.
piezoelectric modulus e_max = 0.2 C/m²
ΔE to the lowest computed polymorph = 0.039 eV per atom
space group = P3_121, No. 152
calculated volume = 180.1 Å³/cell
energy of formation from the pure elements = -2.726 eV per atom

---

3.
CeSe2 | PBE | optimized geometry

```
18
Lattice="12.052 6.958 2.843 -12.052 6.958 2.843 0.000 -13.917 2.843" Properties=species:S:1:pos:R:3 pbc="T T T"
Ce 0.000 -5.269 3.609
Ce -4.563 2.634 3.609
Ce -4.563 -2.634 4.920
Ce 4.563 2.634 3.609
Ce 4.563 -2.634 4.920
Ce 0.000 5.269 4.920
Se -12.052 0.000 4.265
Se -6.026 3.479 1.422
Se -6.026 -3.479 2.843
Se -2.156 -3.735 4.265
Se -4.312 0.000 4.265
Se 6.026 3.479 1.422
Se -6.026 3.479 5.686
Se 2.156 -3.735 4.265
Se 0.000 6.958 2.843
Se -2.156 3.735 4.265
Se 4.312 0.000 4.265
Se 2.156 3.735 4.265
```

## Properties
total magnetization = 0.00 μB/f.u.
space group = R-3m, No. 166
calculated volume = 1430.6 Å³/cell
energy of formation from the pure elements = -1.372 eV per atom

---

4.
TmCdAu | PBE | optimized geometry

```
9
Lattice="7.871 0.000 0.000 -3.936 6.817 0.000 0.000 0.000 3.761" Properties=species:S:1:pos:R:3 pbc="T T T"
Tm -2.360 4.088 0.000
Tm 1.575 2.729 0.000
Tm 4.721 0.000 0.000
Cd -1.060 1.837 1.880
Cd 2.121 0.000 1.880
Cd 2.875 4.980 1.880
Au 0.000 0.000 0.000
Au 0.000 4.544 1.880
Au 3.936 2.272 1.880
```

## Properties
space group = P-62m, No. 189
calculated volume = 201.8 Å³/cell
energy of formation from the pure elements = -0.639 eV per atom

---

5.
Na6Ta2Zn4P6S3O36 | PBE | optimized geometry

```
114
Lattice="7.685 -4.450 0.000 7.685 4.450 0.000 -0.068 0.000 22.245" Properties=species:S:1:pos:R:3 pbc="T T T"
Na 7.651 4.431 11.123
Na 5.121 2.907 1.798
Na 4.879 0.147 14.724
Na 4.913 -0.147 3.601
Na 7.430 1.154 5.315
Na 10.345 2.765 16.487
Na 7.397 -1.154 16.437
Na 10.166 0.034 7.423
Na 5.087 -2.907 12.920
Na 10.132 -0.034 18.546
Na 10.379 -2.765 5.365
Na 7.685 -4.431 0.000
Ta 4.931 0.013 0.189
Ta 4.897 -0.013 11.311
Ta 15.041 0.014 18.908
Ta 15.075 -0.014 7.785
Zn 4.893 0.033 7.026
Zn 4.859 -0.033 18.149
Zn 9.912 0.024 10.538
Zn 9.878 -0.024 21.661
Zn 10.043 0.046 14.829
Zn 10.077 -0.046 3.706
Zn 15.195 0.056 14.203
Zn 15.228 -0.056 3.080
P 2.642 1.357 8.992
P 4.806 2.604 20.158
P 2.608 -1.357 20.115
P 7.180 1.272 8.986
P 9.988 2.642 12.790
P 7.806 1.306 1.686
P 4.840 -2.604 9.035
P 7.146 -1.272 20.109
P 7.772 -1.306 12.808
P 12.848 1.278 16.431
P 10.022 -2.642 1.668
P 12.882 -1.278 5.308
S 7.409 1.883 16.495
S 9.730 3.153 5.403
S 12.300 1.341 1.639
S 7.443 -1.883 5.372
S 12.266 -1.341 12.762
S 9.696 -3.153 16.526
O 6.043 3.434 4.061
O 1.235 0.599 8.916
O 1.412 0.701 15.324
O 6.178 3.442 20.052
O 3.364 1.102 7.675
O 4.673 1.755 18.922
O 4.739 1.599 12.579
O 3.662 0.880 1.432
O 3.348 0.694 16.659
O 5.068 1.686 21.433
O 7.228 2.880 8.947
O 1.201 -0.599 20.039
O 5.084 1.627 5.443
O 3.408 0.639 10.186
O 7.437 2.807 1.744
O 8.800 3.582 12.930
O 1.445 -0.701 4.201
O 7.302 2.699 15.290
O 7.545 2.796 17.715
O 8.851 3.519 6.606
O 3.374 -0.639 21.308
O 6.235 1.003 16.609
O 6.207 0.965 10.188
O 3.382 -0.694 5.536
O 3.628 -0.880 12.554
O 6.591 0.800 7.671
O 3.330 -1.102 18.797
O 6.341 0.612 1.453
O 8.655 1.065 16.521
O 9.755 1.681 5.377
O 8.677 1.039 0.493
O 9.886 1.741 11.590
O 8.305 0.733 3.035
O 10.390 1.900 14.102
O 8.575 0.765 9.177
O 10.081 1.630 20.355
O 6.307 -0.612 12.575
O 4.773 -1.599 1.456
O 4.707 -1.755 7.800
O 6.173 -0.965 21.311
O 5.050 -1.627 16.565
O 6.557 -0.800 18.793
O 6.269 -1.003 5.486
O 5.102 -1.686 10.310
O 11.517 1.201 2.883
O 8.272 -0.733 14.158
O 8.541 -0.765 20.300
O 11.415 0.871 9.255
O 11.681 0.743 0.466
O 11.463 0.618 16.460
O 8.643 -1.039 11.616
O 8.689 -1.065 5.399
O 6.009 -3.434 15.184
O 7.335 -2.699 4.167
O 6.212 -3.442 8.929
O 7.194 -2.880 20.070
O 7.403 -2.807 12.867
O 13.662 0.779 1.770
O 7.579 -2.796 6.592
O 13.685 0.709 17.695
O 11.497 -0.618 5.338
O 9.721 -1.681 16.500
O 9.920 -1.741 0.467
O 11.381 -0.871 20.377
O 10.115 -1.630 9.233
O 11.647 -0.743 11.588
O 11.483 -1.201 14.006
O 10.424 -1.900 2.979
O 8.817 -3.519 17.728
O 13.719 -0.709 6.572
O 13.628 -0.779 12.893
O 8.834 -3.582 1.807
```

## Properties
total magnetization = 0.00 μB/f.u.
space group = Cc, No. 9
calculated volume = 1521.6 Å³/cell
energy of formation from the pure elements = -2.456 eV per atom

---

6.
SrCeAlO4 | PBE | optimized geometry

```
7
Lattice="-1.882 1.882 6.246 1.882 -1.882 6.246 1.882 1.882 -6.246" Properties=species:S:1:pos:R:3 pbc="T T T"
Sr 0.000 0.000 0.000
Ce 0.000 0.000 8.914
Al 0.000 0.000 4.496
O 0.000 0.000 2.449
O 1.882 0.000 4.398
O 0.000 0.000 6.536
O 0.000 1.882 4.398
```

## Properties
total magnetization = 1.00 μB/f.u.
space group = I4mm, No. 107
calculated volume = 88.5 Å³/cell
energy of formation from the pure elements = -3.480 eV per atom

---

7.
Dy2S2O | PBE | optimized geometry

```
20
Lattice="8.290 0.000 0.000 0.000 6.913 0.000 -1.114 0.000 6.791" Properties=species:S:1:pos:R:3 pbc="T T T"
Dy 0.274 0.991 2.182
Dy -0.283 2.466 5.577
Dy 2.721 3.829 1.697
Dy 2.164 6.541 5.093
Dy 5.013 0.372 1.698
Dy 4.456 3.085 5.093
Dy 7.459 4.448 1.213
Dy 6.902 5.922 4.609
S 0.852 4.386 3.913
S 1.409 5.984 0.518
S 2.994 1.542 3.191
S 2.437 1.914 6.586
S 4.739 4.999 0.204
S 4.182 5.371 3.600
S 5.768 0.929 6.273
S 6.325 2.528 2.878
O 0.247 0.603 4.411
O 0.804 2.854 1.015
O 6.373 4.059 5.775
O 6.930 6.311 2.380
```

## Properties
ΔE to the lowest computed polymorph = 0.000 eV per atom
space group = P2_1/c, No. 14
calculated volume = 389.2 Å³/cell
energy of formation from the pure elements = -2.972 eV per atom

---

8.
H | PBE | optimized geometry

```
1
Lattice="2.613 0.000 0.000 0.000 2.613 0.000 0.000 0.000 0.986" Properties=species:S:1:pos:R:3 pbc="T T T"
H 0.000 0.000 0.000
```

## Properties
ΔE to the lowest computed polymorph = 0.385 eV per atom
space group = P4/mmm, No. 123
calculated volume = 6.7 Å³/cell
energy of formation from the pure elements = 0.385 eV per atom

---

9.
La3Si2BO10 | PBE | optimized geometry

```
128
Lattice="7.306 0.000 0.000 0.000 23.531 0.000 0.000 0.000 10.014" Properties=species:S:1:pos:R:3 pbc="T T T"
La 0.681 4.299 2.334
La 0.681 7.466 7.341
La 1.021 13.457 5.100
La 1.021 21.839 0.093
La 1.269 15.597 8.672
La 1.269 19.699 3.665
La 2.384 3.831 8.672
La 2.384 7.934 3.665
La 2.632 1.691 5.100
La 2.632 10.074 0.093
La 2.972 16.065 2.334
La 2.972 19.231 7.341
La 4.335 4.299 2.673
La 4.335 7.466 7.680
La 4.675 13.457 9.921
La 4.675 21.839 4.914
La 4.922 15.597 6.349
La 4.922 19.699 1.342
La 6.038 3.831 6.349
La 6.038 7.934 1.342
La 6.285 1.691 9.921
La 6.285 10.074 4.914
La 6.625 16.065 2.673
La 6.625 19.231 7.680
Si 1.058 13.612 1.251
Si 1.058 21.683 6.258
Si 1.340 16.958 5.621
Si 1.340 18.338 0.614
Si 2.313 5.192 5.621
Si 2.313 6.573 0.614
Si 2.595 1.847 1.251
Si 2.595 9.918 6.258
Si 4.711 13.612 3.756
Si 4.711 21.683 8.763
Si 4.993 16.958 9.400
Si 4.993 18.338 4.393
Si 5.966 5.192 9.400
Si 5.966 6.573 4.393
Si 6.248 1.847 3.756
Si 6.248 9.918 8.763
B 1.131 0.651 7.570
B 1.131 11.115 2.563
B 2.522 12.416 7.570
B 2.522 22.880 2.563
B 4.784 0.651 7.451
B 4.784 11.115 2.444
B 6.176 12.416 7.451
B 6.176 22.880 2.444
O 0.246 2.336 4.604
O 0.246 9.430 9.611
O 0.251 15.830 6.088
O 0.251 19.466 1.081
O 0.567 0.205 8.719
O 0.567 11.560 3.712
O 0.960 16.766 0.979
O 0.960 18.530 5.986
O 0.962 4.940 6.530
O 0.962 6.826 1.523
O 1.077 14.345 2.736
O 1.077 20.950 7.743
O 1.195 11.959 1.408
O 1.195 23.337 6.415
O 1.280 2.481 0.496
O 1.280 9.285 5.503
O 1.481 16.972 3.976
O 1.481 18.324 8.983
O 1.671 1.901 7.394
O 1.671 9.865 2.387
O 1.982 13.666 7.394
O 1.982 21.630 2.387
O 2.173 5.206 3.976
O 2.173 6.559 8.983
O 2.373 14.246 0.496
O 2.373 21.050 5.503
O 2.458 0.194 1.408
O 2.458 11.571 6.415
O 2.576 2.580 2.736
O 2.576 9.185 7.743
O 2.692 16.705 6.530
O 2.692 18.591 1.523
O 2.693 5.000 0.979
O 2.693 6.765 5.986
O 3.086 11.970 8.719
O 3.086 23.326 3.712
O 3.402 4.065 6.088
O 3.402 7.700 1.081
O 3.407 14.101 4.604
O 3.407 21.195 9.611
O 3.899 2.336 0.403
O 3.899 9.430 5.410
O 3.904 15.830 8.933
O 3.904 19.466 3.926
O 4.220 0.205 6.302
O 4.220 11.560 1.295
O 4.613 16.766 4.028
O 4.613 18.530 9.035
O 4.615 4.940 8.491
O 4.615 6.826 3.484
O 4.730 14.345 2.271
O 4.730 20.950 7.278
O 4.848 11.959 3.599
O 4.848 23.337 8.606
O 4.934 2.481 4.511
O 4.934 9.285 9.518
O 5.134 16.972 1.031
O 5.134 18.324 6.038
O 5.324 1.901 7.627
O 5.324 9.865 2.620
O 5.635 13.666 7.627
O 5.635 21.630 2.620
O 5.826 5.206 1.031
O 5.826 6.559 6.038
O 6.026 14.246 4.511
O 6.026 21.050 9.518
O 6.112 0.194 3.599
O 6.112 11.571 8.606
O 6.230 2.580 2.271
O 6.230 9.185 7.278
O 6.345 16.705 8.491
O 6.345 18.591 3.484
O 6.347 5.000 4.028
O 6.347 6.765 9.035
O 6.740 11.970 6.302
O 6.740 23.326 1.295
O 7.056 4.065 8.933
O 7.056 7.700 3.926
O 7.060 14.101 0.403
O 7.060 21.195 5.410
```

## Properties
total magnetization = 0.00 μB/f.u.
space group = Pbca, No. 61
calculated volume = 1721.6 Å³/cell
energy of formation from the pure elements = -3.627 eV per atom

---

10.
MoS2 | PBE | optimized geometry

```
6
Lattice="3.193 0.000 0.000 -1.596 2.765 0.000 0.000 0.000 13.983" Properties=species:S:1:pos:R:3 pbc="T T T"
Mo 0.000 0.000 3.496
Mo 0.000 0.000 10.487
S 0.000 1.843 1.929
S 0.000 1.843 5.062
S 1.596 0.922 8.921
S 1.596 0.922 12.053
```

## Properties
space group = P6_3/mmc, No. 194
calculated volume = 123.5 Å³/cell
energy of formation from the pure elements = -1.200 eV per atom

---

11.
PrErS3 | PBE | optimized geometry

```
40
Lattice="11.050 0.000 0.000 0.000 3.976 0.000 -4.303 0.000 21.154" Properties=species:S:1:pos:R:3 pbc="T T T"
Pr -0.544 0.994 7.681
Pr 2.068 0.994 0.744
Pr 0.188 2.982 15.548
Pr 2.404 0.994 4.889
Pr 4.343 2.982 16.265
Pr 6.560 0.994 5.606
Pr 4.679 2.982 20.410
Pr 7.291 2.982 13.473
Er -3.343 0.994 18.011
Er -0.376 0.994 11.568
Er 1.003 0.994 19.399
Er 3.498 2.982 8.699
Er 3.249 0.994 12.455
Er 5.745 2.982 1.754
Er 7.124 2.982 9.586
Er 10.090 2.982 3.143
S -0.562 0.994 4.834
S -3.428 2.982 19.979
S -1.052 2.982 9.792
S -1.488 0.994 14.050
S 1.690 2.982 2.809
S 1.390 2.982 6.872
S -0.738 0.994 17.436
S 1.191 2.982 12.691
S -0.308 2.982 20.836
S 2.024 0.994 9.809
S 4.426 0.994 2.820
S 2.364 0.994 15.266
S 4.383 2.982 5.888
S 2.322 2.982 18.334
S 4.724 2.982 11.344
S 7.056 0.994 0.317
S 5.556 0.994 8.463
S 7.485 2.982 3.718
S 5.357 0.994 14.281
S 5.057 0.994 18.344
S 8.235 2.982 7.104
S 7.799 0.994 11.362
S 10.175 0.994 1.175
S 7.309 2.982 16.320
```

## Properties
space group = P2_1/m, No. 11
calculated volume = 929.3 Å³/cell
energy of formation from the pure elements = -2.373 eV per atom

---

The lowest calculated volume belongs to which entry? H